Entry from the Materials Project database: a relaxed CdI2 crystal (PBE).

The structure in extended XYZ format:
```
33
Lattice="4.345 0.000 0.000 -2.172 3.763 0.000 0.000 0.000 80.913" Properties=species:S:1:pos:R:3 pbc="T T T"
Cd 0.000 0.000 0.000
Cd 0.000 0.000 7.354
Cd 0.000 0.000 14.711
Cd 0.000 0.000 22.068
Cd 0.000 0.000 29.422
Cd 0.000 0.000 44.134
Cd 0.000 0.000 58.845
Cd 2.172 1.254 36.779
Cd 2.172 1.254 51.489
Cd 2.172 1.254 66.204
Cd 2.172 1.254 73.557
I 0.000 0.000 35.051
I 0.000 0.000 49.759
I 0.000 0.000 64.473
I 0.000 0.000 71.826
I 0.000 2.508 1.729
I 0.000 2.508 9.084
I 0.000 2.508 16.440
I 0.000 2.508 23.798
I 0.000 2.508 31.151
I 0.000 2.508 38.509
I 0.000 2.508 45.864
I 0.000 2.508 53.219
I 0.000 2.508 60.577
I 0.000 2.508 67.934
I 0.000 2.508 75.287
I 2.172 1.254 5.623
I 2.172 1.254 12.981
I 2.172 1.254 20.337
I 2.172 1.254 27.693
I 2.172 1.254 42.403
I 2.172 1.254 57.115
I 2.172 1.254 79.183
```

Summary:
Mass density: 5.1 g/cm³
Energy: -1.908 eV per atom

***

Entry from the Materials Project database: a relaxed CdI2 crystal (PBE).

The structure in extended XYZ format:
```
15
Lattice="4.333 0.000 0.000 -2.167 3.753 0.000 0.000 0.000 37.018" Properties=species:S:1:pos:R:3 pbc="T T T"
Cd 0.000 0.000 0.000
Cd 0.000 0.000 7.400
Cd 0.000 0.000 14.805
Cd 2.167 1.251 22.211
Cd 2.167 1.251 29.614
I 0.000 0.000 23.937
I 0.000 0.000 31.339
I 0.000 2.502 5.673
I 0.000 2.502 13.079
I 0.000 2.502 20.486
I 0.000 2.502 27.887
I 0.000 2.502 35.292
I 2.167 1.251 1.726
I 2.167 1.251 9.127
I 2.167 1.251 16.532
```

Summary:
Mass density: 5.1 g/cm³
Energy: -1.909 eV per atom

***

Entry from the Materials Project database: a relaxed CdI2 crystal (PBE).

The structure in extended XYZ format:
```
12
Lattice="2.175 1.256 31.036 -2.175 1.256 31.036 0.000 -2.512 31.036" Properties=species:S:1:pos:R:3 pbc="T T T"
Cd 0.000 0.000 0.000
Cd 0.000 0.000 15.527
Cd 0.000 0.000 38.785
Cd 0.000 0.000 54.321
I 0.000 0.000 6.039
I 0.000 0.000 21.578
I 0.000 0.000 29.325
I 0.000 0.000 44.853
I 0.000 0.000 63.783
I 0.000 0.000 71.528
I 0.000 0.000 79.311
I 0.000 0.000 87.067
```

Summary:
Mass density: 4.8 g/cm³
M_tot: 0.0 μB per formula unit
Energy: -1.873 eV per atom

***

Entry from the Materials Project database: a relaxed CdI2 crystal (PBE).

The structure in extended XYZ format:
```
30
Lattice="4.333 0.000 0.000 -2.167 3.753 0.000 0.000 0.000 74.132" Properties=species:S:1:pos:R:3 pbc="T T T"
Cd 0.000 0.000 0.000
Cd 0.000 0.000 7.412
Cd 0.000 0.000 14.822
Cd 0.000 0.000 37.064
Cd 0.000 0.000 59.302
Cd 2.167 1.251 22.239
Cd 2.167 1.251 29.651
Cd 2.167 1.251 44.476
Cd 2.167 1.251 51.890
Cd 2.167 1.251 66.716
I 0.000 0.000 20.513
I 0.000 0.000 27.926
I 0.000 0.000 42.750
I 0.000 0.000 50.165
I 0.000 0.000 64.990
I 0.000 2.502 1.726
I 0.000 2.502 9.137
I 0.000 2.502 16.548
I 0.000 2.502 23.965
I 0.000 2.502 31.376
I 0.000 2.502 38.789
I 0.000 2.502 46.202
I 0.000 2.502 53.615
I 0.000 2.502 61.028
I 0.000 2.502 68.442
I 2.167 1.251 5.688
I 2.167 1.251 13.098
I 2.167 1.251 35.340
I 2.167 1.251 57.578
I 2.167 1.251 72.407
```

Summary:
Mass density: 5.0 g/cm³
Energy: -1.909 eV per atom

***

Entry from the Materials Project database: a relaxed CdI2 crystal (PBE).

The structure in extended XYZ format:
```
30
Lattice="4.333 0.000 0.000 -2.166 3.752 0.000 0.000 0.000 74.255" Properties=species:S:1:pos:R:3 pbc="T T T"
Cd 0.000 0.000 0.000
Cd 0.000 0.000 7.425
Cd 0.000 0.000 14.850
Cd 0.000 0.000 29.701
Cd 0.000 0.000 44.552
Cd 0.000 0.000 59.402
Cd 2.166 1.251 22.276
Cd 2.166 1.251 37.127
Cd 2.166 1.251 51.978
Cd 2.166 1.251 66.828
I 0.000 0.000 20.551
I 0.000 0.000 35.402
I 0.000 0.000 50.253
I 0.000 0.000 65.102
I 0.000 2.502 1.725
I 0.000 2.502 9.150
I 0.000 2.502 16.575
I 0.000 2.502 24.002
I 0.000 2.502 31.426
I 0.000 2.502 38.853
I 0.000 2.502 46.277
I 0.000 2.502 53.703
I 0.000 2.502 61.127
I 0.000 2.502 68.553
I 2.166 1.251 5.700
I 2.166 1.251 13.124
I 2.166 1.251 27.975
I 2.166 1.251 42.827
I 2.166 1.251 57.676
I 2.166 1.251 72.529
```

Summary:
Mass density: 5.0 g/cm³
Energy: -1.909 eV per atom

***

Entry from the Materials Project database: a relaxed CdI2 crystal (PBE).

The structure in extended XYZ format:
```
87
Lattice="4.340 0.000 0.000 -2.170 3.758 0.000 0.000 0.000 211.426" Properties=species:S:1:pos:R:3 pbc="T T T"
Cd 0.000 0.000 0.000
Cd 0.000 0.000 7.289
Cd 0.000 0.000 21.870
Cd 0.000 0.000 36.454
Cd 0.000 0.000 43.741
Cd 0.000 0.000 58.324
Cd 0.000 0.000 72.904
Cd 0.000 0.000 80.195
Cd 0.000 0.000 94.776
Cd 0.000 0.000 109.361
Cd 0.000 0.000 116.648
Cd 0.000 0.000 131.229
Cd 0.000 0.000 145.810
Cd 0.000 0.000 153.100
Cd 0.000 0.000 167.683
Cd 0.000 0.000 182.262
Cd 0.000 0.000 196.847
Cd 0.000 2.506 14.578
Cd 0.000 2.506 29.163
Cd 0.000 2.506 51.033
Cd 0.000 2.506 65.614
Cd 0.000 2.506 87.487
Cd 0.000 2.506 102.065
Cd 0.000 2.506 123.938
Cd 0.000 2.506 138.520
Cd 0.000 2.506 160.394
Cd 0.000 2.506 174.971
Cd 0.000 2.506 189.555
Cd 0.000 2.506 204.135
I 0.000 0.000 16.292
I 0.000 0.000 30.878
I 0.000 0.000 52.748
I 0.000 0.000 67.327
I 0.000 0.000 89.202
I 0.000 0.000 103.779
I 0.000 0.000 125.652
I 0.000 0.000 140.235
I 0.000 0.000 162.108
I 0.000 0.000 176.685
I 0.000 0.000 191.269
I 0.000 0.000 205.850
I 0.000 2.506 1.714
I 0.000 2.506 9.004
I 0.000 2.506 23.584
I 0.000 2.506 38.168
I 0.000 2.506 45.455
I 0.000 2.506 60.038
I 0.000 2.506 74.618
I 0.000 2.506 81.908
I 0.000 2.506 96.490
I 0.000 2.506 111.075
I 0.000 2.506 118.363
I 0.000 2.506 132.944
I 0.000 2.506 147.524
I 0.000 2.506 154.814
I 0.000 2.506 169.397
I 0.000 2.506 183.977
I 0.000 2.506 198.561
I 2.170 1.253 5.574
I 2.170 1.253 12.864
I 2.170 1.253 20.156
I 2.170 1.253 27.448
I 2.170 1.253 34.737
I 2.170 1.253 42.026
I 2.170 1.253 49.318
I 2.170 1.253 56.610
I 2.170 1.253 63.900
I 2.170 1.253 71.190
I 2.170 1.253 78.480
I 2.170 1.253 85.770
I 2.170 1.253 93.062
I 2.170 1.253 100.350
I 2.170 1.253 107.646
I 2.170 1.253 114.933
I 2.170 1.253 122.224
I 2.170 1.253 129.515
I 2.170 1.253 136.805
I 2.170 1.253 144.096
I 2.170 1.253 151.385
I 2.170 1.253 158.679
I 2.170 1.253 165.967
I 2.170 1.253 173.257
I 2.170 1.253 180.546
I 2.170 1.253 187.840
I 2.170 1.253 195.132
I 2.170 1.253 202.420
I 2.170 1.253 209.711
```

Summary:
Mass density: 5.1 g/cm³
M_tot: 0.0 μB per formula unit
Energy: -1.908 eV per atom

***

Entry from the Materials Project database: a relaxed CdI2 crystal (PBE).

The structure in extended XYZ format:
```
33
Lattice="4.346 0.000 0.000 -2.173 3.764 0.000 0.000 0.000 80.825" Properties=species:S:1:pos:R:3 pbc="T T T"
Cd 0.000 0.000 0.000
Cd 0.000 0.000 7.349
Cd 0.000 0.000 14.696
Cd 0.000 0.000 22.044
Cd 0.000 0.000 29.393
Cd 0.000 0.000 44.087
Cd 0.000 0.000 58.786
Cd 0.000 0.000 66.131
Cd 0.000 2.509 36.740
Cd 0.000 2.509 51.435
Cd 0.000 2.509 73.480
I 0.000 0.000 35.011
I 0.000 0.000 49.707
I 0.000 0.000 71.751
I 0.000 2.509 5.619
I 0.000 2.509 12.968
I 0.000 2.509 20.313
I 0.000 2.509 27.666
I 0.000 2.509 42.359
I 0.000 2.509 57.056
I 0.000 2.509 64.402
I 0.000 2.509 79.096
I 2.173 1.255 1.729
I 2.173 1.255 9.077
I 2.173 1.255 16.426
I 2.173 1.255 23.773
I 2.173 1.255 31.122
I 2.173 1.255 38.470
I 2.173 1.255 45.816
I 2.173 1.255 53.166
I 2.173 1.255 60.515
I 2.173 1.255 67.860
I 2.173 1.255 75.207
```

Summary:
Mass density: 5.1 g/cm³
Energy: -1.908 eV per atom

***

Entry from the Materials Project database: a relaxed CdI2 crystal (PBE).

The structure in extended XYZ format:
```
33
Lattice="4.346 0.000 0.000 -2.173 3.764 0.000 0.000 0.000 80.839" Properties=species:S:1:pos:R:3 pbc="T T T"
Cd 0.000 0.000 0.000
Cd 0.000 0.000 7.351
Cd 0.000 0.000 14.698
Cd 0.000 0.000 22.046
Cd 0.000 0.000 29.394
Cd 0.000 0.000 36.744
Cd 0.000 0.000 44.092
Cd 0.000 0.000 51.442
Cd 0.000 0.000 58.792
Cd 0.000 2.509 66.140
Cd 0.000 2.509 73.489
I 0.000 0.000 64.411
I 0.000 0.000 71.759
I 0.000 2.509 5.622
I 0.000 2.509 12.968
I 0.000 2.509 20.316
I 0.000 2.509 27.665
I 0.000 2.509 35.014
I 0.000 2.509 42.364
I 0.000 2.509 49.711
I 0.000 2.509 57.065
I 0.000 2.509 79.110
I 2.173 1.255 1.730
I 2.173 1.255 9.080
I 2.173 1.255 16.426
I 2.173 1.255 23.774
I 2.173 1.255 31.123
I 2.173 1.255 38.472
I 2.173 1.255 45.822
I 2.173 1.255 53.171
I 2.173 1.255 60.521
I 2.173 1.255 67.870
I 2.173 1.255 75.217
```

Summary:
Mass density: 5.1 g/cm³
M_tot: 0.0 μB per formula unit
Energy: -1.908 eV per atom

***

Entry from the Materials Project database: a relaxed CdI2 crystal (PBE).

The structure in extended XYZ format:
```
36
Lattice="4.336 0.000 0.000 -2.168 3.755 0.000 0.000 0.000 88.904" Properties=species:S:1:pos:R:3 pbc="T T T"
Cd 0.000 0.000 0.000
Cd 0.000 0.000 14.818
Cd 0.000 0.000 29.635
Cd 0.000 0.000 44.452
Cd 0.000 0.000 59.269
Cd 0.000 0.000 74.087
Cd 0.000 2.504 7.412
Cd 0.000 2.504 22.229
Cd 0.000 2.504 37.046
Cd 0.000 2.504 66.681
Cd 2.168 1.252 51.862
Cd 2.168 1.252 81.496
I 0.000 0.000 9.136
I 0.000 0.000 23.953
I 0.000 0.000 38.771
I 0.000 0.000 50.137
I 0.000 0.000 68.406
I 0.000 0.000 79.772
I 0.000 2.504 1.725
I 0.000 2.504 16.542
I 0.000 2.504 31.360
I 0.000 2.504 46.177
I 0.000 2.504 53.587
I 0.000 2.504 60.994
I 0.000 2.504 75.812
I 0.000 2.504 83.222
I 2.168 1.252 5.689
I 2.168 1.252 13.095
I 2.168 1.252 20.506
I 2.168 1.252 27.912
I 2.168 1.252 35.323
I 2.168 1.252 42.730
I 2.168 1.252 57.546
I 2.168 1.252 64.958
I 2.168 1.252 72.364
I 2.168 1.252 87.181
```

Summary:
Mass density: 5.0 g/cm³
M_tot: 0.0 μB per formula unit
Energy: -1.909 eV per atom

***

Entry from the Materials Project database: a relaxed CdI2 crystal (PBE).

The structure in extended XYZ format:
```
21
Lattice="4.332 0.000 0.000 -2.166 3.752 0.000 0.000 0.000 51.863" Properties=species:S:1:pos:R:3 pbc="T T T"
Cd 0.000 0.000 0.000
Cd 0.000 0.000 7.407
Cd 0.000 0.000 22.228
Cd 0.000 0.000 37.046
Cd 2.166 1.251 14.817
Cd 2.166 1.251 29.634
Cd 2.166 1.251 44.452
I 0.000 0.000 13.093
I 0.000 0.000 27.907
I 0.000 0.000 42.723
I 0.000 2.501 1.725
I 0.000 2.501 9.132
I 0.000 2.501 16.543
I 0.000 2.501 23.954
I 0.000 2.501 31.361
I 0.000 2.501 38.773
I 0.000 2.501 46.178
I 2.166 1.251 5.682
I 2.166 1.251 20.501
I 2.166 1.251 35.320
I 2.166 1.251 50.138
```

Summary:
Mass density: 5.0 g/cm³
Energy: -1.909 eV per atom